No. 1
PBE-GGA CaO2, optimized geometry; ΔE_f = -6.62 eV/f.u.; VASP energy = -17.6 eV for the cell shown
1.0
-2.711 1.332 1.319
-1.206 -3.015 0.567
3.481 0.824 2.204
Ca O
1 2
Direct
0.500 0.500 0.000
0.891 0.891 0.783
0.109 0.109 0.217

=====

No. 2
PBE-GGA Mn3Se2N2, optimized geometry; total magnetic moment = 45.27 μB per cell; ΔE_f = -1.69 eV/f.u.; VASP energy = -416.9 eV for the cell shown
1.0
-8.496 -5.875 -13.196
9.668 -12.892 -0.484
-2.099 -1.652 2.087
Mn Se N
24 16 16
Direct
0.066 0.020 0.031
0.934 0.980 0.531
0.434 0.520 0.531
0.566 0.480 0.031
0.013 0.557 0.530
0.987 0.443 0.030
0.487 0.057 0.030
0.513 0.943 0.530
0.144 0.425 0.030
0.856 0.575 0.530
0.356 0.925 0.530
0.644 0.075 0.030
0.101 0.875 0.530
0.899 0.125 0.030
0.399 0.375 0.030
0.601 0.625 0.530
0.737 0.534 0.031
0.263 0.466 0.531
0.763 0.034 0.531
0.237 0.966 0.031
0.379 0.130 0.530
0.621 0.870 0.030
0.121 0.630 0.030
0.879 0.370 0.530
0.763 0.931 0.030
0.237 0.069 0.530
0.737 0.431 0.530
0.263 0.569 0.030
0.982 0.663 0.030
0.018 0.337 0.530
0.518 0.163 0.530
0.482 0.837 0.030
0.043 0.166 0.031
0.957 0.834 0.531
0.457 0.666 0.531
0.543 0.334 0.031
0.840 0.270 0.031
0.160 0.730 0.531
0.660 0.770 0.531
0.340 0.230 0.031
0.145 0.915 0.030
0.855 0.085 0.530
0.355 0.415 0.530
0.645 0.585 0.030
0.182 0.398 0.530
0.818 0.602 0.030
0.318 0.898 0.030
0.682 0.102 0.530
0.450 0.481 0.031
0.550 0.519 0.531
0.050 0.981 0.531
0.950 0.019 0.031
0.428 0.019 0.530
0.572 0.981 0.030
0.072 0.519 0.030
0.928 0.481 0.530

=====

No. 3
PBE-GGA CaTi2S5, optimized geometry; total magnetic moment = 0.00 μB per cell; ΔE_f = -13.40 eV/f.u.; VASP energy = -98.7 eV for the cell shown
1.0
-0.595 4.204 -0.505
-3.618 -1.082 -4.745
-11.467 -0.556 8.869
Ca Ti S
2 4 10
Direct
0.500 0.128 0.000
0.000 0.872 0.500
0.000 0.602 0.847
0.500 0.398 0.653
0.500 0.398 0.347
0.000 0.602 0.153
0.500 0.538 0.500
0.000 0.462 0.000
0.500 0.426 0.825
0.000 0.574 0.675
0.500 0.426 0.175
0.000 0.574 0.325
0.000 0.951 0.124
0.500 0.049 0.376
0.500 0.049 0.624
0.000 0.951 0.876

=====

No. 4
PBE-GGA BaIn2P2, optimized geometry; total magnetic moment = 0.01 μB per cell; ΔE_f = -2.81 eV/f.u.; VASP energy = -84.2 eV for the cell shown
1.0
4.251 0.000 0.000
0.000 10.164 0.000
0.000 1.058 13.099
Ba In P
4 8 8
Direct
0.250 0.439 0.846
0.750 0.561 0.154
0.250 0.840 0.409
0.750 0.160 0.591
0.750 0.552 0.595
0.250 0.448 0.405
0.250 0.044 0.835
0.750 0.956 0.165
0.750 0.189 0.035
0.250 0.811 0.965
0.750 0.772 0.717
0.250 0.228 0.283
0.750 0.200 0.834
0.250 0.800 0.166
0.250 0.392 0.607
0.750 0.608 0.393
0.250 0.921 0.662
0.750 0.079 0.338
0.750 0.671 0.911
0.250 0.329 0.089

=====

No. 5
PBE-GGA NaGe4Pb3O12, optimized geometry; total magnetic moment = 4.00 μB per cell; ΔE_f = -37.88 eV/f.u.; VASP energy = -479.9 eV for the cell shown
1.0
7.557 0.000 0.000
0.000 10.428 0.000
0.000 0.000 15.709
Na Ge Pb O
4 16 12 48
Direct
0.500 0.000 0.500
0.000 0.500 0.000
0.500 0.500 0.000
0.000 0.000 0.500
0.796 0.294 0.123
0.204 0.294 0.877
0.296 0.206 0.377
0.704 0.206 0.623
0.204 0.706 0.877
0.796 0.706 0.123
0.704 0.794 0.623
0.296 0.794 0.377
0.872 0.000 0.073
0.128 0.000 0.927
0.372 0.500 0.427
0.628 0.500 0.573
0.553 0.500 0.236
0.447 0.500 0.764
0.053 0.000 0.264
0.947 0.000 0.736
0.754 0.293 0.410
0.246 0.293 0.590
0.254 0.207 0.090
0.746 0.207 0.910
0.246 0.707 0.590
0.754 0.707 0.410
0.746 0.793 0.910
0.254 0.793 0.090
0.586 0.000 0.257
0.414 0.000 0.743
0.086 0.500 0.243
0.914 0.500 0.757
0.572 0.500 0.349
0.428 0.500 0.651
0.072 0.000 0.151
0.928 0.000 0.849
0.691 0.000 0.990
0.309 0.000 0.010
0.191 0.500 0.510
0.809 0.500 0.490
0.765 0.128 0.140
0.235 0.128 0.860
0.265 0.372 0.360
0.735 0.372 0.640
0.235 0.872 0.860
0.765 0.872 0.140
0.735 0.628 0.640
0.265 0.628 0.360
0.500 0.377 0.500
0.000 0.123 0.000
0.500 0.623 0.500
0.000 0.877 0.000
0.680 0.359 0.213
0.320 0.359 0.787
0.180 0.141 0.287
0.820 0.141 0.713
0.320 0.641 0.787
0.680 0.641 0.213
0.820 0.859 0.713
0.180 0.859 0.287
0.856 0.000 0.321
0.144 0.000 0.679
0.356 0.500 0.179
0.644 0.500 0.821
0.519 0.155 0.368
0.481 0.155 0.632
0.019 0.345 0.132
0.981 0.345 0.868
0.481 0.845 0.632
0.519 0.845 0.368
0.981 0.655 0.868
0.019 0.655 0.132
0.713 0.345 0.025
0.287 0.345 0.975
0.213 0.155 0.475
0.787 0.155 0.525
0.287 0.655 0.975
0.713 0.655 0.025
0.787 0.845 0.525
0.213 0.845 0.475

=====

No. 6
PBE-GGA ScAgSe2, optimized geometry; ΔE_f = -5.30 eV/f.u.; VASP energy = -20.5 eV for the cell shown
1.0
1.619 3.557 -0.378
-1.015 -2.044 -3.195
-6.034 2.762 0.149
Sc Ag Se
1 1 2
Direct
0.000 0.000 0.000
0.000 0.000 0.500
0.333 0.667 0.768
0.667 0.333 0.232

=====

No. 7
PBE-GGA Ca3Si2GeO9, optimized geometry; total magnetic moment = 0.00 μB per cell; ΔE_f = -48.11 eV/f.u.; VASP energy = -215.9 eV for the cell shown
1.0
0.059 0.038 -7.203
1.700 -7.296 0.065
-8.062 0.028 0.701
Ca Si Ge O
6 4 2 18
Direct
0.762 0.420 0.201
0.238 0.580 0.799
0.763 0.931 0.207
0.237 0.069 0.793
0.471 0.246 0.496
0.529 0.754 0.504
0.269 0.953 0.186
0.731 0.047 0.814
0.054 0.725 0.398
0.946 0.275 0.602
0.271 0.390 0.184
0.729 0.610 0.816
0.800 0.231 0.431
0.200 0.769 0.569
0.080 0.515 0.276
0.920 0.485 0.724
0.738 0.130 0.019
0.262 0.870 0.981
0.465 0.936 0.300
0.535 0.064 0.700
0.828 0.729 0.401
0.172 0.271 0.599
0.094 0.867 0.269
0.906 0.133 0.731
0.731 0.632 0.033
0.269 0.368 0.967
0.221 0.173 0.229
0.779 0.827 0.771
0.478 0.466 0.313
0.522 0.534 0.687

=====

No. 8
PBE-GGA InNi2, optimized geometry; total magnetic moment = 0.00 μB per cell; ΔE_f = -0.05 eV/f.u.; VASP energy = -28.7 eV for the cell shown
1.0
3.958 1.204 1.200
-1.533 -3.847 1.185
1.976 -2.134 -4.375
In Ni
2 4
Direct
0.333 0.667 0.750
0.667 0.333 0.250
0.000 0.000 0.500
0.000 0.000 0.000
0.333 0.667 0.250
0.667 0.333 0.750